Compound: Li9Mn2Co5O16
Source: Materials Project
Functional: PBE with a Hubbard U
Structure: relaxed

Output
ΔH_f (0 K) ... -1.77 eV per atom
Raw total energy ... -5.7635 eV/atom
Excess energy over the best structure of this formula in the dataset ... 2.10 kcal/mol of atoms

Lattice parameters (Å, degrees): 8.5252 2.8929 11.8266 90.00 90.23 90.00
With the nearest neighbours (Å) after each atom.
Space group Pm (No. 6)
Asymmetric unit:
Li 0.0000 0.0000 0.0000 (multiplicity 1)  6 O 1.99-2.23
Li 0.0011 0.0000 0.4850 (multiplicity 1)  4 O 1.98-2.13
Li 0.2380 0.5000 0.1220 (multiplicity 1)  6 O 2.16-2.21
Li 0.2566 0.5000 0.6160 (multiplicity 1)  5 O 2.12-2.21
Li 0.4959 0.0000 0.7501 (multiplicity 1)  4 O 2.05-2.07
Li 0.4970 0.0000 0.2409 (multiplicity 1)  6 O 2.09-2.19
Li 0.7414 0.5000 0.8807 (multiplicity 1)  4 O 2.03-2.23
Li 0.7622 0.5000 0.3551 (multiplicity 1)  6 O 2.06-2.30
Li 0.9977 0.0000 0.2415 (multiplicity 1)  6 O 2.08-2.15
Mn 0.9996 0.0000 0.7458 (multiplicity 1)  5 O 1.95-2.17
Mn 0.7425 0.5000 0.6150 (multiplicity 1)  6 O 1.94-1.99
Co 0.2201 0.5000 0.3663 (multiplicity 1)  3 O 1.81-1.95
Co 0.2590 0.5000 0.8681 (multiplicity 1)  5 O 1.97-2.03
Co 0.4947 0.0000 0.4850 (multiplicity 1)  5 O 1.91-2.08
Co 0.5019 0.0000 0.0009 (multiplicity 1)  6 O 1.96-2.14
Co 0.7735 0.5000 0.1218 (multiplicity 1)  3 O 1.81-1.96
O 0.0007 0.5000 0.8565 (multiplicity 1)  2 Mn 1.95
O 0.0084 0.5000 0.3712 (multiplicity 1)  1 Co 1.81, 2 Li 1.98
O 0.2486 0.0000 0.2580 (multiplicity 1)  2 Co 1.95, 4 Li 2.13-2.16
O 0.2510 0.0000 0.4851 (multiplicity 1)  3 Co 2.03-2.08, 3 Li 2.12-2.13
O 0.2527 0.0000 0.9808 (multiplicity 1)  3 Co 1.97-2.14, 1 Li 2.17
O 0.2541 0.0000 0.7472 (multiplicity 1)  2 Co 2.03, 3 Li 2.06-2.12, 1 Mn 2.17
O 0.4958 0.5000 0.1128 (multiplicity 1)  2 Co 1.96, 2 Li 2.09
O 0.4959 0.5000 0.3798 (multiplicity 1)  2 Co 1.91
O 0.4955 0.5000 0.8758 (multiplicity 1)  3 Co 2.02-2.07, 3 Li 2.07-2.10
O 0.5143 0.5000 0.5983 (multiplicity 1)  1 Mn 1.95, 2 Co 1.98
O 0.7333 0.0000 0.7253 (multiplicity 1)  2 Mn 1.95, 1 Li 2.05
O 0.7393 0.0000 0.0011 (multiplicity 1)  3 Co 2.02-2.05, 3 Li 2.03-2.22
O 0.7454 0.0000 0.2321 (multiplicity 1)  2 Co 1.96, 4 Li 2.06-2.15
O 0.7541 0.0000 0.5064 (multiplicity 1)  2 Mn 1.94, 1 Li 2.12
O 0.9751 0.5000 0.6317 (multiplicity 1)  3 Mn 1.99
O 0.9853 0.5000 0.1154 (multiplicity 1)  1 Co 1.81, 2 Li 1.99

=====

Compound: KFeNiP2O8
Source: Materials Project
Functional: PBE with a Hubbard U
Structure: relaxed

Output
ΔH_f (0 K) ... -2.35 eV per atom
Raw total energy ... -6.6196 eV/atom

Lattice parameters (Å, degrees): 5.1682 14.6397 9.3268 90.00 104.70 90.00
With the nearest neighbours (Å) after each atom.
Space group P2_1/c (No. 14)
Asymmetric unit:
K 0.1874 0.1763 0.3132 (multiplicity 4)  6 O 2.77-2.95
Fe 0.2279 0.6288 0.8825 (multiplicity 4)  5 O 1.93-2.04
Ni 0.2430 0.0451 0.9611 (multiplicity 4)  6 O 2.04-2.23
P 0.2565 0.6716 0.5364 (multiplicity 4)  4 O 1.54-1.57
P 0.3080 0.0064 0.6786 (multiplicity 4)  4 O 1.54-1.58
O 0.0574 0.0474 0.7247 (multiplicity 4)  1 P 1.58
O 0.0834 0.5864 0.4679 (multiplicity 4)  1 P 1.57
O 0.1171 0.7447 0.9446 (multiplicity 4)  1 P 1.56
O 0.2247 0.5814 0.0876 (multiplicity 4)  1 P 1.54
O 0.2359 0.6890 0.6968 (multiplicity 4)  1 P 1.55
O 0.4122 0.0790 0.5859 (multiplicity 4)  1 P 1.55
O 0.4498 0.1648 0.9709 (multiplicity 4)  1 P 1.54
O 0.4928 0.0130 0.1707 (multiplicity 4)  1 P 1.54

=====

Compound: KEuZrFeO6
Source: Materials Project
Functional: PBE with a Hubbard U
Structure: relaxed

Output
ΔH_f (0 K) ... -2.52 eV per atom
Raw total energy ... -7.6938 eV/atom

Lattice parameters (Å, degrees): 8.0106 8.0106 8.0106 90.00 90.00 90.00
With the nearest neighbours (Å) after each atom.
Space group F-43m (No. 216)
Asymmetric unit:
K 0.0000 0.0000 0.0000 (multiplicity 4)  12 O 2.83
Eu 0.0000 0.0000 0.5000 (multiplicity 4)  12 O 2.83
Zr 0.2500 0.2500 0.7500 (multiplicity 4)  6 O 2.07
Fe 0.2500 0.2500 0.2500 (multiplicity 4)  6 O 1.93
O 0.0087 0.2500 0.2500 (multiplicity 24)  1 Fe 1.93, 1 Zr 2.07

=====

Compound: CoPO4
Source: Materials Project
Functional: PBE with a Hubbard U
Structure: relaxed

Output
ΔH_f (0 K) ... -2.09 eV per atom
Raw total energy ... -6.7460 eV/atom

Lattice parameters (Å, degrees): 8.9009 8.3050 17.7932 90.00 119.50 90.00
With the nearest neighbours (Å) after each atom.
Space group P2_1/c (No. 14)
Asymmetric unit:
Co 0.0309 0.2185 0.4236 (multiplicity 4)  4 O 1.85-1.86
Co 0.3143 0.2092 0.2340 (multiplicity 4)  4 O 1.85-1.87
Co 0.3520 0.7186 0.4061 (multiplicity 4)  4 O 1.85-1.86
P 0.0309 0.6655 0.9208 (multiplicity 4)  4 O 1.54-1.55
P 0.3171 0.6675 0.7316 (multiplicity 4)  4 O 1.54-1.55
P 0.3426 0.1631 0.9071 (multiplicity 4)  4 O 1.54-1.55
O 0.0587 0.7461 0.5032 (multiplicity 4)  1 P 1.55
O 0.1070 0.0065 0.4448 (multiplicity 4)  1 P 1.55
O 0.1232 0.7403 0.3805 (multiplicity 4)  1 P 1.54
O 0.1479 0.7344 0.1902 (multiplicity 4)  1 P 1.54
O 0.1651 0.1570 0.6451 (multiplicity 4)  1 P 1.55
O 0.2067 0.1447 0.9371 (multiplicity 4)  1 P 1.55
O 0.2630 0.2377 0.3230 (multiplicity 4)  1 P 1.54
O 0.2834 0.0020 0.1901 (multiplicity 4)  1 P 1.55
O 0.3848 0.6526 0.8301 (multiplicity 4)  1 P 1.55
O 0.3971 0.5054 0.3916 (multiplicity 4)  1 P 1.55
O 0.4511 0.7454 0.2148 (multiplicity 4)  1 P 1.54
O 0.4971 0.7465 0.0229 (multiplicity 4)  1 P 1.55

=====

Compound: LiVF4
Source: Materials Project
Functional: PBE with a Hubbard U
Structure: relaxed

Output
ΔH_f (0 K) ... -3.21 eV per atom
Raw total energy ... -5.7303 eV/atom
Excess energy over the best structure of this formula in the dataset ... 0.13 kcal/mol of atoms

Lattice parameters (Å, degrees): 5.6202 4.7591 5.6998 90.00 113.80 90.00
With the nearest neighbours (Å) after each atom.
Space group P2_1/c (No. 14)
Asymmetric unit:
Li 0.0000 0.0000 0.0000 (multiplicity 2)  6 F 2.08-2.09
V 0.5000 0.0000 0.5000 (multiplicity 2)  6 F 1.92-2.05
F 0.1689 0.1860 0.3604 (multiplicity 4)  1 V 1.92, 2 Li 2.08-2.09
F 0.3582 0.7082 0.6557 (multiplicity 4)  2 V 1.98-2.05, 1 Li 2.09

=====

Compound: NiSeO5
Source: Materials Project
Functional: PBE with a Hubbard U
Structure: relaxed

Output
ΔH_f (0 K) ... -0.57 eV per atom
Raw total energy ... -4.9555 eV/atom
Excess energy over the best structure of this formula in the dataset ... 4.47 kcal/mol of atoms

Lattice parameters (Å, degrees): 7.0284 9.2186 7.5750 90.00 121.54 90.00
With the nearest neighbours (Å) after each atom.
Space group P2_1/c (No. 14)
Asymmetric unit:
Ni 0.0971 0.1489 0.0965 (multiplicity 4)  5 O 1.98-2.15
Se 0.1598 0.6260 0.9206 (multiplicity 4)  3 O 1.72-1.77
O 0.0990 0.1358 0.5983 (multiplicity 4)  1 Se 1.75
O 0.1179 0.5570 0.6846 (multiplicity 4)  1 Se 1.77
O 0.1520 0.6937 0.3610 (multiplicity 4)  1 Se 1.72
O 0.3803 0.1534 0.0594 (multiplicity 4)  1 O 1.25
O 0.3993 0.2358 0.4751 (multiplicity 4)  1 O 1.25

=====

Compound: Li9Mn2Co5O16
Source: Materials Project
Functional: PBE with a Hubbard U
Structure: relaxed

Output
ΔH_f (0 K) ... -1.74 eV per atom
Raw total energy ... -5.7255 eV/atom
Excess energy over the best structure of this formula in the dataset ... 2.98 kcal/mol of atoms

Lattice parameters (Å, degrees): 5.0671 5.1363 11.1791 86.26 80.68 82.31
With the nearest neighbours (Å) after each atom.
Space group P1 (No. 1)
Asymmetric unit:
Li 0.0000 0.0000 0.0000 (multiplicity 1)  6 O 2.02-2.21
Li 0.0620 0.7526 0.4382 (multiplicity 1)  6 O 2.10-2.19
Li 0.1892 0.2364 0.3133 (multiplicity 1)  5 O 2.02-2.13
Li 0.3041 0.7679 0.1825 (multiplicity 1)  5 O 1.99-2.16
Li 0.4260 0.2354 0.0600 (multiplicity 1)  6 O 2.08-2.30
Li 0.5685 0.7457 0.9406 (multiplicity 1)  5 O 2.06-2.18
Li 0.6898 0.2546 0.8156 (multiplicity 1)  5 O 2.03-2.16
Li 0.8168 0.7510 0.6918 (multiplicity 1)  6 O 2.04-2.21
Li 0.9357 0.2413 0.5639 (multiplicity 1)  6 O 2.07-2.19
Mn 0.3719 0.4972 0.6276 (multiplicity 1)  6 O 1.95-2.18
Mn 0.7513 0.9994 0.2475 (multiplicity 1)  6 O 1.89-1.98
Co 0.1271 0.4948 0.8742 (multiplicity 1)  6 O 1.86-1.95
Co 0.2482 0.9971 0.7543 (multiplicity 1)  4 O 1.89-1.97
Co 0.5000 0.9963 0.5011 (multiplicity 1)  6 O 1.98-2.10
Co 0.6251 0.4979 0.3753 (multiplicity 1)  6 O 1.94-2.13
Co 0.8858 0.5033 0.1171 (multiplicity 1)  6 O 1.89-2.09
O 0.0433 0.3903 0.7227 (multiplicity 1)  1 Co 1.94, 1 Mn 1.95, 3 Li 2.08-2.15
O 0.0664 0.1269 0.1629 (multiplicity 1)  1 Mn 1.89, 4 Li 2.02-2.11, 1 Co 2.09
O 0.1680 0.8909 0.5996 (multiplicity 1)  2 Co 1.97-1.98, 3 Li 2.07-2.15, 1 Mn 2.17
O 0.2097 0.5987 0.0263 (multiplicity 1)  2 Co 1.89-1.94, 1 Li 2.08
O 0.3047 0.3762 0.4701 (multiplicity 1)  2 Co 1.94-2.10, 1 Mn 2.00, 2 Li 2.13-2.17
O 0.3200 0.1504 0.8949 (multiplicity 1)  2 Co 1.91-1.92, 3 Li 2.05-2.09
O 0.4248 0.8816 0.3448 (multiplicity 1)  1 Mn 1.97, 2 Co 1.99-2.13, 3 Li 2.08-2.15
O 0.4496 0.6057 0.7817 (multiplicity 1)  1 Co 1.92, 1 Mn 1.96, 1 Li 2.09
O 0.5621 0.3552 0.2259 (multiplicity 1)  2 Co 1.95-2.08, 1 Mn 1.97, 1 Li 2.13
O 0.5738 0.1029 0.6591 (multiplicity 1)  2 Co 1.94-1.99, 3 Li 2.09-2.16
O 0.6599 0.8716 0.1047 (multiplicity 1)  1 Mn 1.91, 3 Li 1.99-2.12, 1 Co 2.08
O 0.6982 0.6173 0.5265 (multiplicity 1)  2 Co 1.94-2.09, 1 Mn 1.99, 1 Li 2.13
O 0.8100 0.3944 0.9612 (multiplicity 1)  2 Co 1.86-1.97, 2 Li 2.03-2.06
O 0.8301 0.1136 0.4025 (multiplicity 1)  1 Mn 1.98, 2 Co 1.99-2.13, 3 Li 2.08-2.13
O 0.9340 0.6457 0.2809 (multiplicity 1)  2 Co 1.95-2.08, 1 Mn 1.97, 2 Li 2.10-2.16
O 0.9516 0.8482 0.8434 (multiplicity 1)  2 Co 1.89-1.95, 2 Li 2.02-2.04

=====

Compound: Sr2MgZrCrO6
Source: Materials Project
Functional: PBE with a Hubbard U
Structure: relaxed

Output
ΔH_f (0 K) ... -2.96 eV per atom
Raw total energy ... -7.2069 eV/atom
Excess energy over the best structure of this formula in the dataset ... 0.00 kcal/mol of atoms

Lattice parameters (Å, degrees): 5.4400 5.6691 6.4002 116.16 109.72 90.08
With the nearest neighbours (Å) after each atom.
Space group P1 (No. 1)
Asymmetric unit:
Sr 0.0000 0.0000 0.0000 (multiplicity 1)  4 O 2.44-2.71
Sr 0.3742 0.4286 0.8568 (multiplicity 1)  3 O 2.43-2.63
Mg 0.6873 0.7384 0.4271 (multiplicity 1)  5 O 2.04-2.22
Zr 0.1882 0.7330 0.4308 (multiplicity 1)  6 O 2.05-2.21
Cr 0.6874 0.2314 0.4310 (multiplicity 1)  4 O 2.08
O 0.3928 0.8993 0.2687 (multiplicity 1)  1 Mg 2.04, 1 Cr 2.08, 1 Zr 2.20
O 0.3945 0.4117 0.2830 (multiplicity 1)  1 Mg 2.08, 1 Cr 2.08, 1 Zr 2.16
O 0.5307 0.9235 0.7430 (multiplicity 1)  1 Zr 2.05, 1 Mg 2.28
O 0.8406 0.6126 0.1210 (multiplicity 1)  1 Zr 2.06, 1 Mg 2.22
O 0.9804 0.0609 0.5925 (multiplicity 1)  1 Mg 2.04, 1 Cr 2.08, 1 Zr 2.21
O 0.9797 0.5599 0.5798 (multiplicity 1)  1 Cr 2.08, 1 Mg 2.08, 1 Zr 2.17